PBE Sr2CaTeO6, optimized geometry; E_form = -2.80 eV/atom; crystal system = monoclinic; SG = P2_1/c, No. 14
1.0
5.848 0.000 0.000
0.000 5.937 0.000
-5.817 0.000 8.309
Sr Ca Te O
4 2 2 12
Cartesian
-0.046 0.230 2.082
-2.955 2.738 6.236
2.985 3.199 2.073
0.077 5.707 6.227
2.924 0.000 0.000
0.015 2.968 4.154
-2.909 0.000 4.154
0.000 2.968 0.000
-4.725 1.385 7.922
-1.816 1.584 3.768
-4.258 4.106 7.984
-1.349 4.800 3.829
-2.432 0.158 6.047
0.477 2.811 1.892
-0.446 3.126 6.417
2.462 5.779 2.262
1.380 1.137 4.480
4.289 1.831 0.325
1.847 4.353 4.541
4.756 4.552 0.387